Below is an optimized crystal structure of Nd2Si3Ir3, with properties calculated at the PBE-GGA level.

Cell: 2.8273 2.8273 20.6867 Å, 90.00 90.00 90.00°
With the nearest neighbours (Å) after each atom.
Fractional coordinates of all 8 atoms:
Nd (0.5000, 0.5000, 0.7601)  1 Ir 2.72, 4 Nd 2.83
Nd (0.5000, 0.5000, 0.2399)  1 Ir 2.72, 4 Nd 2.83
Si (0.5000, 0.5000, 0.3886)  1 Ir 2.31
Si (0.5000, 0.5000, 0.6114)  1 Ir 2.31
Si (0.5000, 0.5000, 0.0000)  2 Ir 2.24
Ir (0.5000, 0.5000, 0.1085)  1 Si 2.24
Ir (0.5000, 0.5000, 0.8915)  1 Si 2.24
Ir (0.5000, 0.5000, 0.5000)  2 Si 2.31

Properties
The energy of formation comes out at 725.4 meV per atom.

Below is an optimized crystal structure of Nd3Sn13Ir4, with properties calculated at the PBE-GGA level.

Cell: 9.8238 9.8238 9.8238 Å, 90.00 90.00 90.00°
With the nearest neighbours (Å) after each atom.
Fractional coordinates of all 40 atoms:
Nd (0.5000, 0.0000, 0.7500)  12 Sn 3.45-3.46, 4 Ir 3.47
Nd (0.0000, 0.2500, 0.5000)  12 Sn 3.45-3.46, 4 Ir 3.47
Nd (0.7500, 0.5000, 0.0000)  12 Sn 3.45-3.46, 4 Ir 3.47
Nd (0.5000, 0.0000, 0.2500)  12 Sn 3.45-3.46, 4 Ir 3.47
Nd (0.0000, 0.7500, 0.5000)  12 Sn 3.45-3.46, 4 Ir 3.47
Nd (0.2500, 0.5000, 0.0000)  12 Sn 3.45-3.46, 4 Ir 3.47
Sn (0.5000, 0.5000, 0.5000)  12 Sn 3.36
Sn (0.0000, 0.0000, 0.0000)  12 Sn 3.36
Sn (0.6525, 0.1943, 0.5000)  2 Ir 2.69, 1 Sn 3.00
Sn (0.8057, 0.5000, 0.6525)  2 Ir 2.69, 1 Sn 3.00
Sn (0.5000, 0.3475, 0.8057)  2 Ir 2.69, 1 Sn 3.00
Sn (0.3475, 0.8057, 0.5000)  2 Ir 2.69, 1 Sn 3.00
Sn (0.1943, 0.5000, 0.3475)  2 Ir 2.69, 1 Sn 3.00
Sn (0.5000, 0.6525, 0.1943)  2 Ir 2.69, 1 Sn 3.00
Sn (0.6525, 0.8057, 0.5000)  2 Ir 2.69, 1 Sn 3.00
Sn (0.8057, 0.5000, 0.3475)  2 Ir 2.69, 1 Sn 3.00
Sn (0.3475, 0.1943, 0.5000)  2 Ir 2.69, 1 Sn 3.00
Sn (0.1943, 0.5000, 0.6525)  2 Ir 2.69, 1 Sn 3.00
Sn (0.5000, 0.6525, 0.8057)  2 Ir 2.69, 1 Sn 3.00
Sn (0.5000, 0.3475, 0.1943)  2 Ir 2.69, 1 Sn 3.00
Sn (0.1525, 0.0000, 0.6943)  2 Ir 2.69, 1 Sn 3.00
Sn (0.3057, 0.1525, 0.0000)  2 Ir 2.69, 1 Sn 3.00
Sn (0.0000, 0.3057, 0.8475)  2 Ir 2.69, 1 Sn 3.00
Sn (0.8475, 0.0000, 0.3057)  2 Ir 2.69, 1 Sn 3.00
Sn (0.6943, 0.8475, 0.0000)  2 Ir 2.69, 1 Sn 3.00
Sn (0.0000, 0.6943, 0.1525)  2 Ir 2.69, 1 Sn 3.00
Sn (0.1525, 0.0000, 0.3057)  2 Ir 2.69, 1 Sn 3.00
Sn (0.3057, 0.8475, 0.0000)  2 Ir 2.69, 1 Sn 3.00
Sn (0.8475, 0.0000, 0.6943)  2 Ir 2.69, 1 Sn 3.00
Sn (0.6943, 0.1525, 0.0000)  2 Ir 2.69, 1 Sn 3.00
Sn (0.0000, 0.3057, 0.1525)  2 Ir 2.69, 1 Sn 3.00
Sn (0.0000, 0.6943, 0.8475)  2 Ir 2.69, 1 Sn 3.00
Ir (0.7500, 0.2500, 0.7500)  6 Sn 2.69
Ir (0.2500, 0.7500, 0.2500)  6 Sn 2.69
Ir (0.7500, 0.7500, 0.2500)  6 Sn 2.69
Ir (0.2500, 0.2500, 0.7500)  6 Sn 2.69
Ir (0.2500, 0.7500, 0.7500)  6 Sn 2.69
Ir (0.7500, 0.2500, 0.2500)  6 Sn 2.69
Ir (0.2500, 0.2500, 0.2500)  6 Sn 2.69
Ir (0.7500, 0.7500, 0.7500)  6 Sn 2.69

Properties
The energy of formation comes out at -505.0 meV per atom.

Below is an optimized crystal structure of Nd4Sn8Ir, with properties calculated at the PBE-GGA level.

Cell: 4.5117 4.5397 17.4414 Å, 90.00 90.00 90.00°
With the nearest neighbours (Å) after each atom.
Fractional coordinates of all 13 atoms:
Nd (0.2500, 0.0000, 0.0996)  10 Sn 3.27-3.58
Nd (0.2500, 0.5000, 0.6067)  10 Sn 3.26-3.43
Nd (0.7500, 0.5000, 0.3958)  8 Sn 3.40-3.61, 4 Ir 3.51
Nd (0.7500, 0.0000, 0.8986)  10 Sn 3.28-3.59
Sn (0.2500, 0.5000, 0.2350)  2 Ir 2.65
Sn (0.2500, 0.0000, 0.7487)  4 Sn 3.20, 4 Nd 3.36-3.45
Sn (0.7500, 0.0000, 0.2350)  2 Ir 2.64
Sn (0.7500, 0.5000, 0.7545)  4 Sn 3.20, 4 Nd 3.39-3.43
Sn (0.2500, 0.0000, 0.4619)  1 Ir 2.58
Sn (0.2500, 0.5000, 0.9408)  2 Sn 3.05, 4 Nd 3.28
Sn (0.7500, 0.5000, 0.0581)  2 Sn 3.05, 4 Nd 3.28
Sn (0.7500, 0.0000, 0.5717)  2 Sn 2.96, 4 Nd 3.26
Ir (0.2500, 0.0000, 0.3137)  5 Sn 2.58-2.65

Properties
The energy of formation comes out at -620.3 meV per atom.

Below is an optimized crystal structure of NdSnIr, with properties calculated at the PBE-GGA level.

Cell: 7.5033 7.5033 4.1897 Å, 90.00 90.00 120.00°
With the nearest neighbours (Å) after each atom.
Fractional coordinates of all 9 atoms:
Nd (0.5909, 0.0000, 0.0000)  5 Ir 3.07-3.09, 6 Sn 3.30-3.40
Nd (0.0000, 0.5909, 0.0000)  5 Ir 3.07-3.09, 6 Sn 3.30-3.40
Nd (0.4091, 0.4091, 0.0000)  5 Ir 3.07-3.09, 6 Sn 3.30-3.40
Sn (0.2512, 0.0000, 0.5000)  4 Ir 2.82-2.86
Sn (0.0000, 0.2512, 0.5000)  4 Ir 2.82-2.86
Sn (0.7488, 0.7488, 0.5000)  4 Ir 2.82-2.86
Ir (0.3333, 0.6667, 0.5000)  3 Sn 2.86, 6 Nd 3.09
Ir (0.6667, 0.3333, 0.5000)  3 Sn 2.86, 6 Nd 3.09
Ir (0.0000, 0.0000, 0.0000)  6 Sn 2.82, 3 Nd 3.07

Properties
The energy of formation comes out at -785.2 meV per atom.

Below is an optimized crystal structure of NdYIr2, with properties calculated at the PBE-GGA level.

Cell: 4.9455 4.9455 4.9455 Å, 60.00 60.00 60.00°
With the nearest neighbours (Å) after each atom.
Fractional coordinates of all 4 atoms:
Nd (0.5000, 0.5000, 0.5000)  8 Ir 3.03
Y (0.0000, 0.0000, 0.0000)  8 Ir 3.03
Ir (0.2500, 0.2500, 0.2500)  4 Nd 3.03, 4 Y 3.03
Ir (0.7500, 0.7500, 0.7500)  4 Nd 3.03, 4 Y 3.03

Properties
The energy of formation comes out at -666.0 meV per atom.

Below is an optimized crystal structure of NiIr, with properties calculated at the PBE-GGA level.

Cell: 4.4483 4.4483 4.4483 Å, 35.02 35.02 35.02°
With the nearest neighbours (Å) after each atom.
Fractional coordinates of all 2 atoms:
Ni (0.5000, 0.5000, 0.5000)  6 Ir 2.60, 6 Ni 2.68
Ir (0.0000, 0.0000, 0.0000)  6 Ni 2.60, 6 Ir 2.68

Properties
The energy of formation comes out at 12.5 meV per atom.

Repeat the second record exactly.
Below is an optimized crystal structure of Nd3Sn13Ir4, with properties calculated at the PBE-GGA level.

Cell: 9.8238 9.8238 9.8238 Å, 90.00 90.00 90.00°
With the nearest neighbours (Å) after each atom.
Fractional coordinates of all 40 atoms:
Nd (0.5000, 0.0000, 0.7500)  12 Sn 3.45-3.46, 4 Ir 3.47
Nd (0.0000, 0.2500, 0.5000)  12 Sn 3.45-3.46, 4 Ir 3.47
Nd (0.7500, 0.5000, 0.0000)  12 Sn 3.45-3.46, 4 Ir 3.47
Nd (0.5000, 0.0000, 0.2500)  12 Sn 3.45-3.46, 4 Ir 3.47
Nd (0.0000, 0.7500, 0.5000)  12 Sn 3.45-3.46, 4 Ir 3.47
Nd (0.2500, 0.5000, 0.0000)  12 Sn 3.45-3.46, 4 Ir 3.47
Sn (0.5000, 0.5000, 0.5000)  12 Sn 3.36
Sn (0.0000, 0.0000, 0.0000)  12 Sn 3.36
Sn (0.6525, 0.1943, 0.5000)  2 Ir 2.69, 1 Sn 3.00
Sn (0.8057, 0.5000, 0.6525)  2 Ir 2.69, 1 Sn 3.00
Sn (0.5000, 0.3475, 0.8057)  2 Ir 2.69, 1 Sn 3.00
Sn (0.3475, 0.8057, 0.5000)  2 Ir 2.69, 1 Sn 3.00
Sn (0.1943, 0.5000, 0.3475)  2 Ir 2.69, 1 Sn 3.00
Sn (0.5000, 0.6525, 0.1943)  2 Ir 2.69, 1 Sn 3.00
Sn (0.6525, 0.8057, 0.5000)  2 Ir 2.69, 1 Sn 3.00
Sn (0.8057, 0.5000, 0.3475)  2 Ir 2.69, 1 Sn 3.00
Sn (0.3475, 0.1943, 0.5000)  2 Ir 2.69, 1 Sn 3.00
Sn (0.1943, 0.5000, 0.6525)  2 Ir 2.69, 1 Sn 3.00
Sn (0.5000, 0.6525, 0.8057)  2 Ir 2.69, 1 Sn 3.00
Sn (0.5000, 0.3475, 0.1943)  2 Ir 2.69, 1 Sn 3.00
Sn (0.1525, 0.0000, 0.6943)  2 Ir 2.69, 1 Sn 3.00
Sn (0.3057, 0.1525, 0.0000)  2 Ir 2.69, 1 Sn 3.00
Sn (0.0000, 0.3057, 0.8475)  2 Ir 2.69, 1 Sn 3.00
Sn (0.8475, 0.0000, 0.3057)  2 Ir 2.69, 1 Sn 3.00
Sn (0.6943, 0.8475, 0.0000)  2 Ir 2.69, 1 Sn 3.00
Sn (0.0000, 0.6943, 0.1525)  2 Ir 2.69, 1 Sn 3.00
Sn (0.1525, 0.0000, 0.3057)  2 Ir 2.69, 1 Sn 3.00
Sn (0.3057, 0.8475, 0.0000)  2 Ir 2.69, 1 Sn 3.00
Sn (0.8475, 0.0000, 0.6943)  2 Ir 2.69, 1 Sn 3.00
Sn (0.6943, 0.1525, 0.0000)  2 Ir 2.69, 1 Sn 3.00
Sn (0.0000, 0.3057, 0.1525)  2 Ir 2.69, 1 Sn 3.00
Sn (0.0000, 0.6943, 0.8475)  2 Ir 2.69, 1 Sn 3.00
Ir (0.7500, 0.2500, 0.7500)  6 Sn 2.69
Ir (0.2500, 0.7500, 0.2500)  6 Sn 2.69
Ir (0.7500, 0.7500, 0.2500)  6 Sn 2.69
Ir (0.2500, 0.2500, 0.7500)  6 Sn 2.69
Ir (0.2500, 0.7500, 0.7500)  6 Sn 2.69
Ir (0.7500, 0.2500, 0.2500)  6 Sn 2.69
Ir (0.2500, 0.2500, 0.2500)  6 Sn 2.69
Ir (0.7500, 0.7500, 0.7500)  6 Sn 2.69

Properties
The energy of formation comes out at -505.0 meV per atom.

Copy entry 4 word for word.
Below is an optimized crystal structure of NdSnIr, with properties calculated at the PBE-GGA level.

Cell: 7.5033 7.5033 4.1897 Å, 90.00 90.00 120.00°
With the nearest neighbours (Å) after each atom.
Fractional coordinates of all 9 atoms:
Nd (0.5909, 0.0000, 0.0000)  5 Ir 3.07-3.09, 6 Sn 3.30-3.40
Nd (0.0000, 0.5909, 0.0000)  5 Ir 3.07-3.09, 6 Sn 3.30-3.40
Nd (0.4091, 0.4091, 0.0000)  5 Ir 3.07-3.09, 6 Sn 3.30-3.40
Sn (0.2512, 0.0000, 0.5000)  4 Ir 2.82-2.86
Sn (0.0000, 0.2512, 0.5000)  4 Ir 2.82-2.86
Sn (0.7488, 0.7488, 0.5000)  4 Ir 2.82-2.86
Ir (0.3333, 0.6667, 0.5000)  3 Sn 2.86, 6 Nd 3.09
Ir (0.6667, 0.3333, 0.5000)  3 Sn 2.86, 6 Nd 3.09
Ir (0.0000, 0.0000, 0.0000)  6 Sn 2.82, 3 Nd 3.07

Properties
The energy of formation comes out at -785.2 meV per atom.

Q: What is the energy of formation in the second record?
A: -505.0 meV per atom